A plane-wave DFT calculation with r²SCAN was carried out for ThB4Ir4 after structural relaxation.

abc: 7.7469 7.7469 3.9458
angles: 90.00 90.00 90.00
Space group P4_2/n (No. 86, origin choice 2)
One atom of each set of equivalent atoms:
Th  0.2500  0.2500  0.2500 (multiplicity 2)
B  0.0300  0.5910  0.1424 (multiplicity 8)
Ir  0.0843  0.8563  0.1399 (multiplicity 8)

Raw total energy   -35.33 eV per atom
ΔE_f   -635 meV/atom


A plane-wave DFT calculation with r²SCAN was carried out for CaTlCl3 after structural relaxation.

abc: 4.0709 10.3387 7.0706
angles: 90.00 106.65 90.00
Space group P2_1/m (No. 11)
One atom of each set of equivalent atoms:
Ca  0.0000  0.0000  0.0000 (multiplicity 2)
Tl  0.2598  0.2500  0.5167 (multiplicity 2)
Cl  0.0642  0.7500  0.1280 (multiplicity 2)
Cl  0.3679  0.5472  0.7352 (multiplicity 4)

Raw total energy   -17.80 eV per atom
ΔE_f   -2063 meV/atom


A plane-wave DFT calculation with r²SCAN was carried out for Tb3Cu4Si4 after structural relaxation.

abc: 4.1408 6.5192 13.6837
angles: 90.00 90.00 90.00
Space group Immm (No. 71)
One atom of each set of equivalent atoms:
Tb  0.0000  0.0000  0.0000 (multiplicity 2)
Tb  0.0000  0.5000  0.1307 (multiplicity 4)
Cu  0.0000  0.3107  0.3320 (multiplicity 8)
Si  0.0000  0.0000  0.2157 (multiplicity 4)
Si  0.0000  0.1842  0.5000 (multiplicity 4)

Raw total energy   -16.33 eV per atom
ΔE_f   -682 meV/atom


A plane-wave DFT calculation with r²SCAN was carried out for CoPt3 after structural relaxation.

abc: 3.8739 3.8739 3.8739
angles: 90.00 90.00 90.00
Space group Pm-3m (No. 221)
One atom of each set of equivalent atoms:
Co  0.0000  0.0000  0.0000 (multiplicity 1)
Pt  0.0000  0.5000  0.5000 (multiplicity 3)

Raw total energy   -42.07 eV per atom
ΔE_f   -150 meV/atom